No. 1
A relaxed Li4TiCo5O12 crystal. Source: Materials Project, functional PBE+U.

Unit cell a=4.938 b=19.981 c=4.959 alpha=93.90 beta=119.85 gamma=94.08
Positions (direct):
1 O 0.390 0.557 0.334
2 O 0.469 0.701 0.149
3 O 0.724 0.056 0.044
4 O 0.634 0.947 0.613
5 O 0.115 0.198 0.489
6 O 0.787 0.200 0.813
7 O 0.968 0.444 0.275
8 O 0.716 0.556 0.020
9 O 0.193 0.299 0.218
10 O 0.324 0.446 0.960
11 O 0.320 0.947 0.958
12 O 0.647 0.449 0.605
13 O 0.784 0.700 0.801
14 O 0.043 0.554 0.667
15 O 0.513 0.800 0.863
16 O 0.198 0.801 0.212
17 O 0.474 0.197 0.137
18 O 0.133 0.701 0.486
19 O 0.041 0.050 0.678
20 O 0.386 0.052 0.361
21 O 0.849 0.800 0.527
22 O 0.952 0.940 0.274
23 O 0.866 0.302 0.531
24 O 0.518 0.302 0.892
25 Co 0.825 0.250 0.179
26 Co 0.491 0.750 0.507
27 Co 0.343 0.999 0.654
28 Co 0.157 0.751 0.841
29 Co 0.677 0.999 0.320
30 Co 0.350 0.501 0.645
31 Co 0.491 0.250 0.514
32 Co 0.826 0.751 0.172
33 Co 0.158 0.250 0.847
34 Co 0.683 0.501 0.310
35 Li 0.564 0.872 0.237
36 Li 0.217 0.870 0.573
37 Li 0.421 0.631 0.795
38 Li 0.566 0.373 0.244
39 Li 0.426 0.129 0.781
40 Li 0.220 0.371 0.590
41 Li 0.756 0.629 0.451
42 Li 0.763 0.126 0.426
43 Ti 0.001 0.999 0.005
44 Ti 0.021 0.501 0.999

Results
* space-group type: P1
* polymorph energy (0 for the lowest one): 22.9 meV per atom

***

No. 2
A relaxed Li6Ti15Co3O32 crystal. Source: Materials Project, functional PBE+U.

Unit cell a=8.470 b=8.470 c=8.470 alpha=89.87 beta=89.87 gamma=89.87
Positions (direct):
1 O 0.386 0.113 0.113
2 O 0.137 0.362 0.636
3 O 0.613 0.112 0.889
4 O 0.863 0.138 0.138
5 O 0.636 0.137 0.362
6 O 0.876 0.639 0.639
7 O 0.862 0.862 0.862
8 O 0.112 0.889 0.613
9 O 0.374 0.609 0.609
10 O 0.366 0.865 0.366
11 O 0.138 0.138 0.863
12 O 0.362 0.636 0.137
13 O 0.112 0.613 0.889
14 O 0.386 0.886 0.886
15 O 0.886 0.886 0.386
16 O 0.113 0.386 0.113
17 O 0.613 0.889 0.112
18 O 0.609 0.609 0.374
19 O 0.865 0.366 0.366
20 O 0.609 0.374 0.609
21 O 0.639 0.639 0.876
22 O 0.886 0.386 0.886
23 O 0.366 0.366 0.865
24 O 0.636 0.362 0.137
25 O 0.137 0.636 0.362
26 O 0.387 0.387 0.387
27 O 0.113 0.113 0.386
28 O 0.889 0.112 0.613
29 O 0.889 0.613 0.112
30 O 0.138 0.863 0.138
31 O 0.639 0.876 0.639
32 O 0.362 0.137 0.636
33 Li 0.749 0.749 0.248
34 Li 0.248 0.749 0.749
35 Li 0.251 0.251 0.251
36 Li 0.999 0.999 0.999
37 Li 0.749 0.248 0.749
38 Li 0.625 0.625 0.625
39 Ti 0.625 0.872 0.872
40 Ti 0.626 0.382 0.382
41 Ti 0.872 0.872 0.625
42 Ti 0.626 0.122 0.122
43 Ti 0.877 0.122 0.374
44 Ti 0.122 0.877 0.374
45 Ti 0.122 0.374 0.877
46 Ti 0.122 0.626 0.122
47 Ti 0.374 0.122 0.877
48 Ti 0.122 0.122 0.626
49 Ti 0.374 0.877 0.122
50 Ti 0.382 0.382 0.626
51 Ti 0.877 0.374 0.122
52 Ti 0.872 0.625 0.872
53 Ti 0.382 0.626 0.382
54 Co 0.501 0.501 0.000
55 Co 0.000 0.501 0.501
56 Co 0.501 0.000 0.501

Results
* raw total energy: -0.2976 hartree per atom
* space-group type: R3m

***

No. 3
A relaxed Li4TiCo5O12 crystal. Source: Materials Project, functional PBE+U.

Unit cell a=4.960 b=10.812 c=8.538 alpha=113.25 beta=90.02 gamma=85.44
Positions (direct):
1 O 0.600 0.400 0.531
2 O 0.600 0.400 0.869
3 O 0.375 0.612 0.122
4 O 0.311 0.105 0.382
5 O 0.590 0.401 0.200
6 O 0.375 0.611 0.489
7 O 0.901 0.600 0.969
8 O 0.809 0.107 0.225
9 O 0.676 0.893 0.947
10 O 0.809 0.107 0.882
11 O 0.189 0.895 0.118
12 O 0.311 0.105 0.723
13 O 0.404 0.601 0.801
14 O 0.097 0.399 0.699
15 O 0.125 0.389 0.011
16 O 0.189 0.895 0.777
17 O 0.910 0.599 0.300
18 O 0.824 0.107 0.553
19 O 0.177 0.894 0.447
20 O 0.900 0.600 0.631
21 O 0.125 0.388 0.378
22 O 0.691 0.893 0.275
23 O 0.323 0.106 0.053
24 O 0.691 0.893 0.618
25 Co 0.750 0.500 0.084
26 Co 0.500 0.000 0.834
27 Co 0.250 0.500 0.250
28 Co 0.500 0.000 0.167
29 Co 0.750 0.500 0.416
30 Co 0.250 0.500 0.585
31 Co 0.250 0.500 0.915
32 Co 0.000 0.000 0.333
33 Co 0.750 0.500 0.750
34 Co 0.000 0.000 0.666
35 Ti 0.997 0.001 0.000
36 Ti 0.503 0.999 0.500
37 Li 0.461 0.255 0.956
38 Li 0.039 0.745 0.544
39 Li 0.968 0.253 0.794
40 Li 0.532 0.747 0.706
41 Li 0.532 0.747 0.041
42 Li 0.040 0.745 0.201
43 Li 0.460 0.255 0.299
44 Li 0.968 0.253 0.459

Results
* space-group type: C2/m
* polymorph energy (0 for the lowest one): 13.0 meV per atom

***

No. 4
A relaxed Li4Ti3V3Co2O16 crystal. Source: Materials Project, functional PBE+U.

Unit cell a=5.896 b=5.924 c=9.782 alpha=90.06 beta=90.06 gamma=119.56
Positions (direct):
1 O 0.963 0.493 0.171
2 O 0.317 0.160 0.895
3 O 0.144 0.312 0.392
4 O 0.164 0.842 0.394
5 O 0.830 0.687 0.892
6 O 0.682 0.828 0.390
7 O 0.506 0.472 0.168
8 O 0.843 0.164 0.894
9 O 0.662 0.331 0.397
10 O 0.001 0.997 0.186
11 O 0.002 0.002 0.686
12 O 0.530 0.035 0.174
13 O 0.491 0.965 0.674
14 O 0.476 0.512 0.668
15 O 0.329 0.669 0.896
16 O 0.034 0.523 0.672
17 Ti 0.172 0.829 0.779
18 Ti 0.341 0.179 0.282
19 Ti 0.182 0.340 0.786
20 Li 0.668 0.334 0.606
21 Li 0.999 0.005 0.003
22 Li 0.334 0.667 0.107
23 Li 0.997 0.993 0.501
24 V 0.826 0.161 0.287
25 V 0.842 0.661 0.286
26 V 0.668 0.835 0.790
27 Co 0.666 0.333 0.005
28 Co 0.331 0.668 0.509

Results
* space-group type: P1
* polymorph energy (0 for the lowest one): 0.0 meV per atom

***

No. 5
A relaxed Li4Ti3V3Co2O16 crystal. Source: Materials Project, functional PBE+U.

Unit cell a=5.851 b=5.853 c=9.721 alpha=90.10 beta=89.57 gamma=119.89
Positions (direct):
1 O 0.833 0.679 0.106
2 O 0.967 0.480 0.833
3 O 0.154 0.322 0.606
4 O 0.994 0.998 0.813
5 O 0.525 0.488 0.829
6 O 0.999 0.000 0.316
7 O 0.322 0.160 0.105
8 O 0.486 0.964 0.331
9 O 0.679 0.842 0.610
10 O 0.664 0.332 0.601
11 O 0.487 0.523 0.331
12 O 0.034 0.518 0.331
13 O 0.151 0.830 0.606
14 O 0.333 0.666 0.103
15 O 0.521 0.037 0.830
16 O 0.833 0.153 0.106
17 Ti 0.172 0.339 0.216
18 Ti 0.338 0.166 0.720
19 Ti 0.172 0.833 0.216
20 Li 0.994 0.998 0.500
21 Li 0.998 0.999 0.997
22 Li 0.668 0.334 0.391
23 Li 0.335 0.668 0.890
24 V 0.833 0.655 0.713
25 V 0.836 0.181 0.712
26 V 0.664 0.832 0.213
27 Co 0.340 0.669 0.492
28 Co 0.670 0.334 0.992

Results
* space-group type: P1
* polymorph energy (0 for the lowest one): 36.5 meV per atom

***

No. 6
A relaxed Li4Ti3Co3W2O16 crystal. Source: Materials Project, functional PBE+U.

Unit cell a=5.976 b=5.991 c=9.828 alpha=89.99 beta=90.82 gamma=120.05
Positions (direct):
1 O 0.836 0.169 0.089
2 O 0.503 0.467 0.852
3 O 0.504 0.035 0.852
4 O 0.007 0.004 0.302
5 O 0.340 0.170 0.107
6 O 0.182 0.354 0.586
7 O 0.014 0.007 0.793
8 O 0.467 0.960 0.350
9 O 0.182 0.828 0.586
10 O 0.837 0.669 0.090
11 O 0.662 0.831 0.580
12 O 0.044 0.522 0.340
13 O 0.638 0.319 0.608
14 O 0.967 0.484 0.850
15 O 0.295 0.647 0.106
16 O 0.468 0.507 0.350
17 Li 0.329 0.664 0.905
18 Li 0.668 0.333 0.407
19 Li 0.008 0.005 0.492
20 Li 0.988 0.994 0.983
21 Ti 0.181 0.840 0.216
22 Ti 0.183 0.341 0.216
23 Ti 0.359 0.179 0.733
24 Co 0.833 0.656 0.712
25 Co 0.834 0.178 0.712
26 Co 0.643 0.821 0.211
27 W 0.341 0.671 0.490
28 W 0.690 0.344 0.990

Results
* raw total energy: -0.2635 hartree per atom
* space-group type: P1

***

No. 7
A relaxed Li2V3CoO8 crystal. Source: Materials Project, functional PBE+U.

Unit cell a=5.952 b=5.952 c=5.952 alpha=59.77 beta=59.77 gamma=59.77
Positions (direct):
1 O 0.289 0.751 0.751
2 O 0.751 0.289 0.751
3 O 0.751 0.751 0.289
4 O 0.741 0.741 0.741
5 O 0.250 0.714 0.250
6 O 0.250 0.250 0.714
7 O 0.258 0.258 0.258
8 O 0.714 0.250 0.250
9 Li 0.498 0.498 0.498
10 Li 0.879 0.879 0.879
11 V 0.502 0.502 0.993
12 V 0.993 0.502 0.502
13 V 0.502 0.993 0.502
14 Co 0.122 0.122 0.122

Results
* space-group type: R3m
* polymorph energy (0 for the lowest one): 111.7 meV per atom

***

No. 8
A relaxed Li2V3CoO8 crystal. Source: Materials Project, functional PBE+U.

Unit cell a=5.931 b=5.949 c=10.273 alpha=106.74 beta=90.01 gamma=60.13
Positions (direct):
1 O 0.172 0.212 0.118
2 O 0.621 0.785 0.644
3 O 0.370 0.785 0.868
4 O 0.380 0.211 0.355
5 O 0.833 0.785 0.881
6 O 0.331 0.785 0.381
7 O 0.113 0.775 0.630
8 O 0.120 0.784 0.143
9 O 0.630 0.211 0.133
10 O 0.673 0.211 0.619
11 O 0.612 0.775 0.129
12 O 0.388 0.225 0.871
13 O 0.887 0.225 0.371
14 O 0.871 0.784 0.367
15 O 0.131 0.212 0.633
16 O 0.880 0.212 0.855
17 Li 0.748 0.503 0.751
18 Li 0.319 0.363 0.561
19 Li 0.249 0.502 0.250
20 Li 0.818 0.363 0.061
21 V 0.750 0.000 0.244
22 V 0.991 0.002 0.503
23 V 0.256 0.004 0.253
24 V 0.758 0.001 0.753
25 V 0.248 0.004 0.746
26 V 0.491 0.002 0.003
27 Co 0.679 0.640 0.440
28 Co 0.181 0.638 0.940

Results
* space-group type: P1
* polymorph energy (0 for the lowest one): 104.3 meV per atom